{"formula": "ZnS", "functional": "PBE", "state": "relaxed", "cell": [[1.929, 1.114, 31.449], [-1.929, 1.114, 31.449], [0.000, -2.227, 31.449]], "species": ["Zn", "Zn", "Zn", "Zn", "Zn", "Zn", "Zn", "Zn", "Zn", "Zn", "S", "S", "S", "S", "S", "S", "S", "S", "S", "S"], "fractional_positions": [[0.000, 0.000, 0.000], [0.067, 0.067, 0.067], [0.167, 0.167, 0.167], [0.267, 0.267, 0.267], [0.367, 0.367, 0.367], [0.467, 0.467, 0.467], [0.533, 0.533, 0.533], [0.633, 0.633, 0.633], [0.767, 0.767, 0.767], [0.900, 0.900, 0.900], [0.042, 0.042, 0.042], [0.142, 0.142, 0.142], [0.242, 0.242, 0.242], [0.342, 0.342, 0.342], [0.442, 0.442, 0.442], [0.508, 0.508, 0.508], [0.608, 0.608, 0.608], [0.742, 0.742, 0.742], [0.875, 0.875, 0.875], [0.975, 0.975, 0.975]], "m_tot_mub_per_fu": 0.000, "e_form_ev_per_atom": -1.012}

{"formula": "ZnS", "functional": "PBE", "state": "relaxed", "cell": [[3.854, 0.000, 0.000], [-1.927, 3.338, 0.000], [0.000, 0.000, 50.393]], "species": ["Zn", "Zn", "Zn", "Zn", "Zn", "Zn", "Zn", "Zn", "Zn", "Zn", "Zn", "Zn", "Zn", "Zn", "Zn", "Zn", "S", "S", "S", "S", "S", "S", "S", "S", "S", "S", "S", "S", "S", "S", "S", "S"], "fractional_positions": [[0.000, 0.000, 0.000], [0.000, 0.000, 0.125], [0.000, 0.000, 0.312], [0.000, 0.000, 0.500], [0.000, 0.000, 0.687], [0.000, 0.000, 0.875], [0.333, 0.667, 0.187], [0.333, 0.667, 0.375], [0.333, 0.667, 0.562], [0.333, 0.667, 0.750], [0.333, 0.667, 0.937], [0.667, 0.333, 0.062], [0.667, 0.333, 0.250], [0.667, 0.333, 0.437], [0.667, 0.333, 0.625], [0.667, 0.333, 0.812], [0.000, 0.000, 0.047], [0.000, 0.000, 0.172], [0.000, 0.000, 0.359], [0.000, 0.000, 0.547], [0.000, 0.000, 0.734], [0.000, 0.000, 0.922], [0.333, 0.667, 0.234], [0.333, 0.667, 0.422], [0.333, 0.667, 0.609], [0.333, 0.667, 0.797], [0.333, 0.667, 0.984], [0.667, 0.333, 0.109], [0.667, 0.333, 0.297], [0.667, 0.333, 0.484], [0.667, 0.333, 0.672], [0.667, 0.333, 0.859]], "e_form_ev_per_atom": -1.062}

{"formula": "ZnS", "functional": "PBE", "state": "relaxed", "cell": [[13.088, 0.000, 0.000], [0.530, 13.243, 0.000], [1.196, 1.702, 13.972]], "species": ["Zn", "Zn", "Zn", "Zn", "Zn", "Zn", "Zn", "Zn", "Zn", "Zn", "Zn", "Zn", "Zn", "Zn", "Zn", "Zn", "Zn", "Zn", "Zn", "Zn", "Zn", "Zn", "Zn", "Zn", "Zn", "Zn", "Zn", "Zn", "Zn", "Zn", "Zn", "Zn", "Zn", "Zn", "Zn", "Zn", "Zn", "Zn", "Zn", "Zn", "Zn", "Zn", "Zn", "Zn", "Zn", "Zn", "Zn", "Zn", "Zn", "Zn", "S", "S", "S", "S", "S", "S", "S", "S", "S", "S", "S", "S", "S", "S", "S", "S", "S", "S", "S", "S", "S", "S", "S", "S", "S", "S", "S", "S", "S", "S", "S", "S", "S", "S", "S", "S", "S", "S", "S", "S", "S", "S", "S", "S", "S", "S", "S", "S", "S", "S"], "fractional_positions": [[0.000, 0.000, 0.000], [0.002, 0.805, 0.932], [0.017, 0.688, 0.155], [0.026, 0.011, 0.602], [0.051, 0.515, 0.248], [0.064, 0.403, 0.489], [0.088, 0.434, 0.681], [0.157, 0.157, 0.046], [0.163, 0.283, 0.281], [0.175, 0.776, 0.282], [0.200, 0.811, 0.670], [0.245, 0.768, 0.946], [0.250, 0.988, 0.767], [0.306, 0.888, 0.492], [0.307, 0.046, 0.924], [0.332, 0.354, 0.628], [0.344, 0.998, 0.242], [0.349, 0.372, 0.853], [0.359, 0.556, 0.305], [0.385, 0.659, 0.722], [0.392, 0.240, 0.117], [0.403, 0.523, 0.982], [0.407, 0.333, 0.393], [0.434, 0.916, 0.791], [0.462, 0.105, 0.624], [0.466, 0.100, 0.345], [0.503, 0.737, 0.052], [0.527, 0.947, 0.249], [0.560, 0.983, 0.943], [0.564, 0.431, 0.590], [0.577, 0.753, 0.572], [0.600, 0.207, 0.415], [0.611, 0.918, 0.458], [0.618, 0.752, 0.384], [0.628, 0.186, 0.786], [0.629, 0.334, 0.015], [0.638, 0.166, 0.246], [0.686, 0.706, 0.145], [0.736, 0.925, 0.951], [0.744, 0.395, 0.787], [0.779, 0.630, 0.919], [0.835, 0.895, 0.246], [0.864, 0.302, 0.606], [0.875, 0.896, 0.432], [0.881, 0.725, 0.370], [0.910, 0.136, 0.425], [0.910, 0.300, 0.157], [0.957, 0.474, 0.878], [0.960, 0.530, 0.094], [0.974, 0.085, 0.272], [0.022, 0.362, 0.349], [0.052, 0.661, 0.339], [0.070, 0.223, 0.169], [0.109, 0.399, 0.834], [0.112, 0.816, 0.066], [0.126, 0.098, 0.910], [0.147, 0.840, 0.820], [0.199, 0.989, 0.604], [0.212, 0.447, 0.547], [0.220, 0.917, 0.347], [0.234, 0.475, 0.225], [0.268, 0.592, 0.114], [0.300, 0.719, 0.576], [0.306, 0.623, 0.879], [0.314, 0.086, 0.091], [0.315, 0.183, 0.709], [0.318, 0.700, 0.197], [0.319, 0.371, 0.016], [0.332, 0.233, 0.297], [0.387, 0.199, 0.833], [0.407, 0.861, 0.967], [0.423, 0.466, 0.711], [0.448, 0.999, 0.498], [0.478, 0.485, 0.391], [0.490, 0.272, 0.535], [0.518, 0.772, 0.726], [0.544, 0.774, 0.237], [0.554, 0.571, 0.129], [0.563, 0.194, 0.104], [0.576, 0.038, 0.738], [0.583, 0.508, 0.997], [0.662, 0.589, 0.559], [0.679, 0.756, 0.979], [0.686, 0.987, 0.295], [0.692, 0.315, 0.659], [0.718, 0.255, 0.896], [0.731, 0.613, 0.416], [0.745, 0.001, 0.518], [0.758, 0.295, 0.258], [0.770, 0.262, 0.407], [0.788, 0.928, 0.650], [0.816, 0.543, 0.791], [0.839, 0.728, 0.203], [0.860, 0.413, 0.036], [0.898, 0.947, 0.889], [0.913, 0.023, 0.144], [0.932, 0.868, 0.602], [0.939, 0.456, 0.597], [0.952, 0.641, 0.951], [0.977, 0.176, 0.563]], "m_tot_mub_per_fu": 0.000, "e_form_ev_per_atom": -0.626}

{"formula": "ZnS", "functional": "PBE", "state": "relaxed", "cell": [[3.854, 0.000, 0.000], [-1.927, 3.337, 0.000], [0.000, 0.000, 75.572]], "species": ["Zn", "Zn", "Zn", "Zn", "Zn", "Zn", "Zn", "Zn", "Zn", "Zn", "Zn", "Zn", "Zn", "Zn", "Zn", "Zn", "Zn", "Zn", "Zn", "Zn", "Zn", "Zn", "Zn", "Zn", "S", "S", "S", "S", "S", "S", "S", "S", "S", "S", "S", "S", "S", "S", "S", "S", "S", "S", "S", "S", "S", "S", "S", "S"], "fractional_positions": [[0.000, 0.000, 0.000], [0.000, 0.000, 0.083], [0.000, 0.000, 0.208], [0.000, 0.000, 0.292], [0.000, 0.000, 0.375], [0.000, 0.000, 0.500], [0.000, 0.000, 0.625], [0.000, 0.000, 0.750], [0.000, 0.000, 0.875], [0.333, 0.667, 0.125], [0.333, 0.667, 0.250], [0.333, 0.667, 0.417], [0.333, 0.667, 0.542], [0.333, 0.667, 0.708], [0.333, 0.667, 0.833], [0.333, 0.667, 0.958], [0.667, 0.333, 0.042], [0.667, 0.333, 0.167], [0.667, 0.333, 0.333], [0.667, 0.333, 0.458], [0.667, 0.333, 0.583], [0.667, 0.333, 0.667], [0.667, 0.333, 0.792], [0.667, 0.333, 0.917], [0.000, 0.000, 0.031], [0.000, 0.000, 0.115], [0.000, 0.000, 0.240], [0.000, 0.000, 0.323], [0.000, 0.000, 0.406], [0.000, 0.000, 0.531], [0.000, 0.000, 0.656], [0.000, 0.000, 0.781], [0.000, 0.000, 0.906], [0.333, 0.667, 0.156], [0.333, 0.667, 0.281], [0.333, 0.667, 0.448], [0.333, 0.667, 0.573], [0.333, 0.667, 0.740], [0.333, 0.667, 0.865], [0.333, 0.667, 0.990], [0.667, 0.333, 0.073], [0.667, 0.333, 0.198], [0.667, 0.333, 0.365], [0.667, 0.333, 0.490], [0.667, 0.333, 0.615], [0.667, 0.333, 0.698], [0.667, 0.333, 0.823], [0.667, 0.333, 0.948]], "e_form_ev_per_atom": -1.062}

{"formula": "ZnS", "functional": "PBE", "state": "relaxed", "cell": [[1.937, 1.118, 56.348], [-1.937, 1.118, 56.348], [0.000, -2.237, 56.348]], "species": ["Zn", "Zn", "Zn", "Zn", "Zn", "Zn", "Zn", "Zn", "Zn", "Zn", "Zn", "Zn", "Zn", "Zn", "Zn", "Zn", "Zn", "Zn", "S", "S", "S", "S", "S", "S", "S", "S", "S", "S", "S", "S", "S", "S", "S", "S", "S", "S"], "fractional_positions": [[0.000, 0.000, 0.000], [0.037, 0.037, 0.037], [0.093, 0.093, 0.093], [0.130, 0.130, 0.130], [0.185, 0.185, 0.185], [0.222, 0.222, 0.222], [0.278, 0.278, 0.278], [0.315, 0.315, 0.315], [0.389, 0.389, 0.389], [0.444, 0.444, 0.444], [0.500, 0.500, 0.500], [0.574, 0.574, 0.574], [0.630, 0.630, 0.630], [0.685, 0.685, 0.685], [0.741, 0.741, 0.741], [0.815, 0.815, 0.815], [0.870, 0.870, 0.870], [0.926, 0.926, 0.926], [0.023, 0.023, 0.023], [0.079, 0.079, 0.079], [0.116, 0.116, 0.116], [0.171, 0.171, 0.171], [0.208, 0.208, 0.208], [0.264, 0.264, 0.264], [0.301, 0.301, 0.301], [0.375, 0.375, 0.375], [0.431, 0.431, 0.431], [0.486, 0.486, 0.486], [0.560, 0.560, 0.560], [0.616, 0.616, 0.616], [0.671, 0.671, 0.671], [0.727, 0.727, 0.727], [0.801, 0.801, 0.801], [0.856, 0.856, 0.856], [0.912, 0.912, 0.912], [0.986, 0.986, 0.986]], "m_tot_mub_per_fu": 0.000, "e_form_ev_per_atom": -1.051}

{"formula": "ZnS", "functional": "PBE", "state": "relaxed", "cell": [[3.853, 0.000, 0.000], [-1.927, 3.337, 0.000], [0.000, 0.000, 31.513]], "species": ["Zn", "Zn", "Zn", "Zn", "Zn", "Zn", "Zn", "Zn", "Zn", "Zn", "S", "S", "S", "S", "S", "S", "S", "S", "S", "S"], "fractional_positions": [[0.000, 0.000, 0.000], [0.000, 0.000, 0.200], [0.000, 0.000, 0.400], [0.000, 0.000, 0.700], [0.333, 0.667, 0.100], [0.333, 0.667, 0.500], [0.333, 0.667, 0.800], [0.667, 0.333, 0.300], [0.667, 0.333, 0.600], [0.667, 0.333, 0.900], [0.000, 0.000, 0.075], [0.000, 0.000, 0.275], [0.000, 0.000, 0.475], [0.000, 0.000, 0.775], [0.333, 0.667, 0.175], [0.333, 0.667, 0.575], [0.333, 0.667, 0.875], [0.667, 0.333, 0.375], [0.667, 0.333, 0.675], [0.667, 0.333, 0.975]], "piezo_max_c_m2": 0.14, "e_form_ev_per_atom": -1.062}

{"formula": "ZnS", "functional": "PBE", "state": "relaxed", "cell": [[3.854, 0.000, 0.000], [-1.927, 3.338, 0.000], [0.000, 0.000, 31.488]], "species": ["Zn", "Zn", "Zn", "Zn", "Zn", "Zn", "Zn", "Zn", "Zn", "Zn", "S", "S", "S", "S", "S", "S", "S", "S", "S", "S"], "fractional_positions": [[0.000, 0.000, 0.000], [0.000, 0.000, 0.200], [0.000, 0.000, 0.500], [0.000, 0.000, 0.700], [0.333, 0.667, 0.100], [0.333, 0.667, 0.400], [0.333, 0.667, 0.800], [0.667, 0.333, 0.300], [0.667, 0.333, 0.600], [0.667, 0.333, 0.900], [0.000, 0.000, 0.075], [0.000, 0.000, 0.275], [0.000, 0.000, 0.575], [0.000, 0.000, 0.775], [0.333, 0.667, 0.175], [0.333, 0.667, 0.475], [0.333, 0.667, 0.875], [0.667, 0.333, 0.375], [0.667, 0.333, 0.675], [0.667, 0.333, 0.975]], "piezo_max_c_m2": 0.07, "e_form_ev_per_atom": -1.062}

{"formula": "ZnS", "functional": "PBE", "state": "relaxed", "cell": [[1.930, 1.114, 31.471], [-1.930, 1.114, 31.471], [0.000, -2.228, 31.471]], "species": ["Zn", "Zn", "Zn", "Zn", "Zn", "Zn", "Zn", "Zn", "Zn", "Zn", "S", "S", "S", "S", "S", "S", "S", "S", "S", "S"], "fractional_positions": [[0.000, 0.000, 0.000], [0.067, 0.067, 0.067], [0.133, 0.133, 0.133], [0.200, 0.200, 0.200], [0.267, 0.267, 0.267], [0.367, 0.367, 0.367], [0.500, 0.500, 0.500], [0.633, 0.633, 0.633], [0.767, 0.767, 0.767], [0.900, 0.900, 0.900], [0.042, 0.042, 0.042], [0.108, 0.108, 0.108], [0.175, 0.175, 0.175], [0.242, 0.242, 0.242], [0.342, 0.342, 0.342], [0.475, 0.475, 0.475], [0.608, 0.608, 0.608], [0.742, 0.742, 0.742], [0.875, 0.875, 0.875], [0.975, 0.975, 0.975]], "m_tot_mub_per_fu": 0.000, "e_form_ev_per_atom": -1.011}